[1]
A geometry-optimized K2FeCoC6N6 structure. Source: Materials Project, functional PBE.

Computed properties:
The calculated density is 2.27 g/cm³. Its symmetry is Fm-3m, No. 225. Its MP2020-corrected energy is -7.86 eV per atom.

Cell lengths 7.126, 7.126, 7.126 Å; angles 60.00, 60.00, 60.00 degrees
Atoms (fractional coordinates):
K 0.250 0.250 0.250
K 0.750 0.750 0.750
Fe 0.000 0.000 0.000
Co 0.500 0.500 0.500
C 0.187 0.187 0.813
C 0.187 0.813 0.187
C 0.187 0.813 0.813
C 0.813 0.187 0.187
C 0.813 0.187 0.813
C 0.813 0.813 0.187
N 0.304 0.304 0.696
N 0.304 0.696 0.304
N 0.304 0.696 0.696
N 0.696 0.304 0.304
N 0.696 0.304 0.696
N 0.696 0.696 0.304

---

[2]
A geometry-optimized Sm2Fe15Co2C3 structure. Source: Materials Project, functional PBE.

Computed properties:
The calculated density is 7.87 g/cm³. Its symmetry is Cm, No. 8.

Cell lengths 6.514, 6.514, 6.533 Å; angles 96.23, 96.23, 83.70 degrees
Atoms (fractional coordinates):
Sm 0.000 0.000 0.000
Sm 0.692 0.692 0.308
Fe 0.002 0.487 0.996
Fe 0.004 0.004 0.512
Fe 0.061 0.629 0.654
Fe 0.062 0.345 0.371
Fe 0.250 0.250 0.750
Fe 0.345 0.062 0.371
Fe 0.345 0.629 0.937
Fe 0.346 0.346 0.154
Fe 0.346 0.845 0.653
Fe 0.440 0.440 0.559
Fe 0.487 0.002 0.996
Fe 0.629 0.061 0.654
Fe 0.629 0.345 0.937
Fe 0.687 0.687 0.797
Fe 0.845 0.346 0.653
Co 0.207 0.688 0.311
Co 0.688 0.207 0.311
C 0.345 0.845 0.155
C 0.845 0.345 0.155
C 0.845 0.845 0.654

---

[3]
A geometry-optimized U6Co12Ge4C structure. Source: Materials Project, functional PBE.

Computed properties:
The calculated density is 12.37 g/cm³. Its symmetry is Im-3m, No. 229.

Cell lengths 7.518, 7.518, 7.518 Å; angles 109.47, 109.47, 109.47 degrees
Atoms (fractional coordinates):
U 0.000 0.279 0.279
U 0.000 0.721 0.721
U 0.279 0.000 0.279
U 0.279 0.279 0.000
U 0.721 0.000 0.721
U 0.721 0.721 0.000
Co 0.000 0.351 0.649
Co 0.000 0.649 0.351
Co 0.298 0.649 0.649
Co 0.351 0.000 0.649
Co 0.351 0.351 0.702
Co 0.351 0.649 0.000
Co 0.351 0.702 0.351
Co 0.649 0.000 0.351
Co 0.649 0.298 0.649
Co 0.649 0.351 0.000
Co 0.649 0.649 0.298
Co 0.702 0.351 0.351
Ge 0.000 0.000 0.500
Ge 0.000 0.500 0.000
Ge 0.500 0.000 0.000
Ge 0.500 0.500 0.500
C 0.000 0.000 0.000

---

[4]
A geometry-optimized MnCoH18C6N12 structure. Source: Materials Project, functional PBE.

Computed properties:
The calculated density is 1.57 g/cm³. Its symmetry is R-3, No. 148. Its MP2020-corrected energy is -6.36 eV per atom.

Cell lengths 7.398, 7.398, 7.398 Å; angles 97.21, 97.21, 97.21 degrees
Atoms (fractional coordinates):
Mn 0.000 0.000 0.000
Co 0.500 0.500 0.500
H 0.174 0.318 0.435
H 0.195 0.455 0.632
H 0.262 0.623 0.285
H 0.285 0.262 0.623
H 0.318 0.435 0.174
H 0.368 0.805 0.545
H 0.377 0.715 0.738
H 0.435 0.174 0.318
H 0.455 0.632 0.195
H 0.545 0.368 0.805
H 0.565 0.826 0.682
H 0.623 0.285 0.262
H 0.632 0.195 0.455
H 0.682 0.565 0.826
H 0.715 0.738 0.377
H 0.738 0.377 0.715
H 0.805 0.545 0.368
H 0.826 0.682 0.565
C 0.051 0.767 0.871
C 0.129 0.949 0.233
C 0.233 0.129 0.949
C 0.767 0.871 0.051
C 0.871 0.051 0.767
C 0.949 0.233 0.129
N 0.080 0.629 0.789
N 0.211 0.920 0.371
N 0.265 0.370 0.552
N 0.370 0.552 0.265
N 0.371 0.211 0.920
N 0.448 0.735 0.630
N 0.552 0.265 0.370
N 0.629 0.789 0.080
N 0.630 0.448 0.735
N 0.735 0.630 0.448
N 0.789 0.080 0.629
N 0.920 0.371 0.211

---

[5]
A geometry-optimized CoH2C2N4 structure. Source: Materials Project, functional PBE.

Computed properties:
The calculated density is 2.47 g/cm³. Its symmetry is Pnnm, No. 58. Its MP2020-corrected energy is -7.28 eV per atom.

Cell lengths 6.687, 8.648, 3.274 Å; angles 90.00, 90.00, 90.00 degrees
Atoms (fractional coordinates):
Co 0.000 0.000 0.000
Co 0.500 0.500 0.500
H 0.202 0.434 0.000
H 0.298 0.934 0.500
H 0.702 0.066 0.500
H 0.798 0.566 0.000
C 0.173 0.659 0.000
C 0.327 0.159 0.500
C 0.673 0.841 0.500
C 0.827 0.341 0.000
N 0.086 0.778 0.000
N 0.218 0.035 0.500
N 0.282 0.535 0.000
N 0.414 0.278 0.500
N 0.586 0.722 0.500
N 0.718 0.465 0.000
N 0.782 0.965 0.500
N 0.914 0.222 0.000

---

[6]
A geometry-optimized CoH3C6N6 structure. Source: Materials Project, functional PBE.

Computed properties:
The calculated density is 1.78 g/cm³. Its symmetry is P-31m, No. 162. Its MP2020-corrected energy is -7.50 eV per atom.

Cell lengths 6.486, 6.486, 5.591 Å; angles 90.00, 90.00, 120.00 degrees
Atoms (fractional coordinates):
Co 0.000 0.000 0.000
H 0.000 0.500 0.500
H 0.500 0.000 0.500
H 0.500 0.500 0.500
C 0.000 0.235 0.195
C 0.000 0.765 0.805
C 0.235 0.000 0.195
C 0.235 0.235 0.805
C 0.765 0.000 0.805
C 0.765 0.765 0.195
N 0.000 0.377 0.323
N 0.000 0.623 0.677
N 0.377 0.000 0.323
N 0.377 0.377 0.677
N 0.623 0.000 0.677
N 0.623 0.623 0.323

---

What are the magnetic moment values for these records? In order: 0.06 0.00 0.28 0.05 0.11 0.00 μB/atom.
What are the formation enthalpy at 0 K values for these records? In order: -161.7 157.5 -357.7 -233.9 19.6 166.3 meV/atom.
What are the raw total energy values for these records? In order: -7.726 -7.951 -8.217 -6.245 -7.120 -7.366 eV per atom.